# 1
Crystalline Na5Zr2Sc2SiP5O24 at its relaxed geometry. Source: the Materials Project, functional PBE-GGA.

POSCAR file:
```
Na5Zr2Sc2SiP5O24
1.0
-7.193 -2.698 4.764
2.537 -4.609 -7.324
13.581 -13.229 13.023
O Na P Sc Si Zr
72 15 15 6 3 6
direct
0.317 0.475 0.756
0.860 0.353 0.922
0.827 0.023 0.091
0.139 0.491 0.576
0.131 0.485 0.864
0.361 0.498 0.077
0.123 0.638 0.360
0.354 0.875 0.861
0.972 0.796 0.804
0.490 0.363 0.137
0.507 0.860 0.077
0.810 0.986 0.411
0.822 0.811 0.589
0.207 0.022 0.306
0.489 0.347 0.420
0.027 0.196 0.912
0.302 0.832 0.256
0.520 0.647 0.861
0.209 0.175 0.803
0.031 0.824 0.697
0.366 0.854 0.577
0.985 0.821 0.090
0.162 0.694 0.757
0.305 0.460 0.469
0.152 0.647 0.077
0.695 0.529 0.244
0.834 0.536 0.744
0.697 0.156 0.030
0.509 0.871 0.365
0.021 0.211 0.195
0.647 0.142 0.422
0.645 0.523 0.640
0.876 0.508 0.142
0.825 0.794 0.301
0.491 0.127 0.639
0.693 0.540 0.531
0.968 0.167 0.589
0.193 0.177 0.091
0.145 0.456 0.973
0.156 0.480 0.255
0.790 0.968 0.691
0.473 0.313 0.743
0.462 0.151 0.523
0.471 0.158 0.244
0.169 0.193 0.411
0.806 0.827 0.912
0.873 0.360 0.635
0.828 0.024 0.804
0.182 0.017 0.588
0.632 0.123 0.136
0.032 0.833 0.410
0.978 0.187 0.305
0.642 0.503 0.921
0.866 0.502 0.422
0.541 0.688 0.972
0.514 0.828 0.756
0.171 0.977 0.911
0.496 0.140 0.923
0.528 0.688 0.256
0.158 0.694 0.468
0.355 0.484 0.362
0.787 0.810 0.193
0.456 0.297 0.030
0.508 0.649 0.577
0.183 0.973 0.196
0.678 0.167 0.746
0.312 0.853 0.971
0.832 0.535 0.030
0.840 0.316 0.245
0.850 0.305 0.526
0.544 0.853 0.472
0.182 0.205 0.696
0.005 0.639 0.252
0.367 0.996 0.752
0.336 0.035 0.418
0.631 0.641 0.752
0.320 0.656 0.669
0.665 0.970 0.584
0.657 0.335 0.335
0.004 0.990 0.500
0.296 0.970 0.084
0.027 0.331 0.085
0.677 0.331 0.840
0.000 0.995 0.997
0.967 0.300 0.416
0.676 0.699 0.083
0.340 0.667 0.173
0.705 0.708 0.249
0.959 0.333 0.581
0.626 0.663 0.916
0.628 0.961 0.417
0.375 0.332 0.082
0.292 0.998 0.251
0.037 0.373 0.916
0.292 0.294 0.751
0.336 0.966 0.915
0.040 0.666 0.414
0.333 0.373 0.415
0.668 0.043 0.082
0.002 0.295 0.251
0.001 0.709 0.751
0.667 0.627 0.584
0.671 0.341 0.979
0.332 0.665 0.817
0.342 0.666 0.315
0.994 0.995 0.350
0.999 0.997 0.152
0.661 0.339 0.483
0.704 0.998 0.749
0.371 0.040 0.581
0.960 0.628 0.083
0.330 0.666 0.519
0.006 0.001 0.648
0.666 0.330 0.187
0.329 0.667 0.014
0.670 0.327 0.684
0.995 0.003 0.854
```

Summary:
- DFT formation energy: -3.094 eV/atom
- Crystal system: triclinic
- Total moment: 0.0 μB/cell


# 2
Crystalline Al at its relaxed geometry. Source: the Materials Project, functional PBE-GGA.

POSCAR file:
```
Al
1.0
-9.482 -5.641 -5.029
-2.882 -6.439 10.047
-6.087 10.247 2.276
Al
100
direct
0.435 0.623 0.809
0.834 0.077 0.413
0.862 0.755 0.630
0.092 0.831 0.062
0.380 0.594 0.398
0.629 0.761 0.210
0.731 0.551 0.165
0.266 0.794 0.786
0.706 0.368 0.491
0.372 0.415 0.217
0.005 0.190 0.726
0.782 0.076 0.733
0.333 0.431 0.705
0.817 0.490 0.962
0.714 0.503 0.741
0.953 0.579 0.185
0.490 0.076 0.924
0.341 0.486 0.947
0.966 0.422 0.805
0.360 0.189 0.124
0.595 0.606 0.358
0.997 0.630 0.432
0.614 0.792 0.522
0.787 0.878 0.838
0.793 0.258 0.292
0.016 0.188 0.306
0.097 0.055 0.059
0.088 0.742 0.250
0.958 0.531 0.620
0.066 0.250 0.978
0.924 0.277 0.517
0.482 0.850 0.864
0.557 0.358 0.667
0.299 0.938 0.997
0.782 0.283 0.678
0.088 0.729 0.632
0.422 0.791 0.624
0.226 0.145 0.674
0.774 0.934 0.539
0.624 0.954 0.364
0.209 0.916 0.616
0.740 0.587 0.546
0.472 0.987 0.166
0.484 0.386 0.427
0.036 0.613 0.979
0.295 0.621 0.167
0.853 0.262 0.893
0.511 0.558 0.119
0.153 0.448 0.076
0.227 0.953 0.406
0.886 0.931 0.053
0.205 0.194 0.443
0.648 0.888 0.035
0.436 0.810 0.370
0.942 0.046 0.887
0.268 0.411 0.469
0.145 0.571 0.776
0.827 0.479 0.351
0.611 0.126 0.582
0.739 0.044 0.203
0.208 0.741 0.445
0.150 0.997 0.825
0.191 0.299 0.247
0.189 0.348 0.845
0.044 0.406 0.417
0.976 0.951 0.666
0.642 0.726 0.729
0.599 0.184 0.368
0.841 0.857 0.256
0.410 0.011 0.590
0.575 0.455 0.898
0.583 0.178 0.137
0.522 0.567 0.590
0.289 0.613 0.608
0.595 0.958 0.719
0.478 0.323 0.018
0.972 0.362 0.178
0.863 0.652 0.826
0.049 0.076 0.512
0.251 0.696 0.963
0.626 0.230 0.834
0.714 0.328 0.057
0.240 0.070 0.232
0.605 0.394 0.247
0.281 0.844 0.198
0.452 0.765 0.060
0.828 0.717 0.057
0.717 0.082 0.963
0.121 0.355 0.628
0.273 0.157 0.916
0.791 0.714 0.385
0.987 0.861 0.443
0.032 0.969 0.260
0.890 0.163 0.098
0.636 0.665 0.940
0.408 0.240 0.786
0.168 0.533 0.305
0.416 0.060 0.382
0.019 0.810 0.844
0.401 0.237 0.550
```

Summary:
- DFT formation energy: 0.096 eV/atom
- Crystal system: triclinic
- Total moment: 0.0 μB/cell


# 3
Crystalline PbAu3 at its relaxed geometry. Source: the Materials Project, functional PBE-GGA.

POSCAR file:
```
PbAu3
1.0
0.000 3.482 3.482
3.482 0.000 3.482
3.482 3.482 0.000
Au Pb
3 1
direct
0.250 0.250 0.250
0.000 0.000 0.000
0.750 0.750 0.750
0.500 0.500 0.500
```

Summary:
- DFT formation energy: 0.028 eV/atom
- Crystal system: cubic
- Total moment: 0.0 μB/cell


# 4
Crystalline Te4Rh3 at its relaxed geometry. Source: the Materials Project, functional PBE-GGA.

POSCAR file:
```
Te4Rh3
1.0
-3.434 -5.211 2.684
-3.012 -5.959 -1.255
3.496 -5.824 1.481
Rh Te
3 4
direct
0.000 0.000 0.000
0.738 0.738 0.277
0.262 0.262 0.723
0.633 0.633 0.023
0.876 0.876 0.458
0.124 0.124 0.542
0.367 0.367 0.977
```

Summary:
- DFT formation energy: -0.383 eV/atom
- Crystal system: monoclinic


# 5
Crystalline Ba4SmCu3O9 at its relaxed geometry. Source: the Materials Project, functional PBE-GGA.

POSCAR file:
```
Ba4SmCu3O9
1.0
-7.718 0.004 -2.871
-2.825 -1.475 7.593
-0.511 8.102 1.384
O Cu Ba Sm
18 6 8 2
direct
0.000 0.500 0.743
0.500 0.223 0.500
0.000 0.277 0.000
0.000 0.500 0.257
0.223 0.500 0.500
0.500 0.743 0.000
0.000 0.000 0.277
0.277 0.000 0.000
0.500 0.257 0.000
0.743 0.000 0.500
0.500 0.500 0.223
0.000 0.000 0.723
0.777 0.500 0.500
0.723 0.000 0.000
0.500 0.777 0.500
0.257 0.000 0.500
0.500 0.500 0.777
0.000 0.723 0.000
0.000 0.000 0.500
0.000 0.500 0.000
0.500 0.000 0.500
0.500 0.500 0.000
0.500 0.000 0.000
0.000 0.500 0.500
0.751 0.751 0.751
0.249 0.249 0.751
0.249 0.249 0.249
0.751 0.249 0.751
0.249 0.751 0.751
0.751 0.751 0.249
0.249 0.751 0.249
0.751 0.249 0.249
0.000 0.000 0.000
0.500 0.500 0.500
```

Summary:
- DFT formation energy: -2.354 eV/atom
- Crystal system: cubic
- Total moment: 1.4 μB/cell


# 6
Crystalline Cu2S at its relaxed geometry. Source: the Materials Project, functional PBE-GGA.

POSCAR file:
```
Cu2S
1.0
-3.503 3.503 1.903
3.503 -3.503 1.903
3.503 3.503 -1.903
Cu S
4 2
direct
0.126 0.375 0.251
0.625 0.876 0.751
0.125 0.874 0.249
0.124 0.875 0.749
0.500 0.500 0.000
0.750 0.250 0.500
```

Summary:
- DFT formation energy: -0.210 eV/atom
- Crystal system: tetragonal
- Total moment: 0.0 μB/cell


- Which value of DFT formation energy does entry 5 give?
  -2.354 eV/atom


Copy entry 6 word for word.
Crystalline Cu2S at its relaxed geometry. Source: the Materials Project, functional PBE-GGA.

POSCAR file:
```
Cu2S
1.0
-3.503 3.503 1.903
3.503 -3.503 1.903
3.503 3.503 -1.903
Cu S
4 2
direct
0.126 0.375 0.251
0.625 0.876 0.751
0.125 0.874 0.249
0.124 0.875 0.749
0.500 0.500 0.000
0.750 0.250 0.500
```

Summary:
- DFT formation energy: -0.210 eV/atom
- Crystal system: tetragonal
- Total moment: 0.0 μB/cell